Below is crystalline Ac2NiGe at its relaxed geometry, with properties calculated at the GGA-PBE level.

## Properties
**Electronic total energy**: -5.00 eV/atom
**Symmetry**: No. 225
**ΔH_f (0 K)**: -338.4 meV/atom

a b c (Å): 5.3851 5.3851 5.3851
angles (deg): 60.00 60.00 60.00
Last column: nearest neighbours and their distance in Å.
Positions (direct):
Ac 0.7500 0.7500 0.7500  4 Ni 3.30, 4 Ge 3.30
Ac 0.2500 0.2500 0.2500  4 Ge 3.30, 4 Ni 3.30
Ni 0.0000 0.0000 0.0000  8 Ac 3.30
Ge 0.5000 0.5000 0.5000  8 Ac 3.30

***

Below is crystalline AcH2 at its relaxed geometry, with properties calculated at the GGA-PBE level.

## Properties
**Electronic total energy**: -4.19 eV/atom
**Symmetry**: No. 225
**ΔH_f (0 K)**: -678.0 meV/atom

a b c (Å): 4.1731 4.1731 4.1731
angles (deg): 60.00 60.00 60.00
Last column: nearest neighbours and their distance in Å.
Positions (direct):
Ac 0.0000 0.0000 0.0000  8 H 2.56
H 0.2500 0.2500 0.2500  4 Ac 2.56
H 0.7500 0.7500 0.7500  4 Ac 2.56

***

Below is crystalline AcHg3 at its relaxed geometry, with properties calculated at the GGA-PBE level.

## Properties
**Electronic total energy**: -1.67 eV/atom
**Symmetry**: No. 194
**ΔH_f (0 K)**: -416.3 meV/atom

a b c (Å): 7.1422 7.1422 5.2091
angles (deg): 90.00 90.00 120.00
Last column: nearest neighbours and their distance in Å.
Positions (direct):
Ac 0.3333 0.6667 0.7500  12 Hg 3.39-3.57
Ac 0.6667 0.3333 0.2500  12 Hg 3.39-3.57
Hg 0.8423 0.1577 0.7500  6 Hg 3.25-3.38, 4 Ac 3.39-3.57
Hg 0.6847 0.8423 0.2500  6 Hg 3.25-3.38, 4 Ac 3.39-3.57
Hg 0.8423 0.6847 0.7500  6 Hg 3.25-3.38, 4 Ac 3.39-3.57
Hg 0.3153 0.1577 0.7500  6 Hg 3.25-3.38, 4 Ac 3.39-3.57
Hg 0.1577 0.8423 0.2500  6 Hg 3.25-3.38, 4 Ac 3.39-3.57
Hg 0.1577 0.3153 0.2500  6 Hg 3.25-3.38, 4 Ac 3.39-3.57

***

Below is crystalline AcMgHg2 at its relaxed geometry, with properties calculated at the GGA-PBE level.

## Properties
**Electronic total energy**: -2.01 eV/atom
**Symmetry**: No. 225
**ΔH_f (0 K)**: -432.5 meV/atom

a b c (Å): 5.4078 5.4078 5.4078
angles (deg): 60.00 60.00 60.00
Last column: nearest neighbours and their distance in Å.
Positions (direct):
Ac 0.5000 0.5000 0.5000  8 Hg 3.31
Mg 0.0000 0.0000 0.0000  8 Hg 3.31
Hg 0.7500 0.7500 0.7500  4 Ac 3.31, 4 Mg 3.31
Hg 0.2500 0.2500 0.2500  4 Ac 3.31, 4 Mg 3.31

***

Below is crystalline Ac2SiHg at its relaxed geometry, with properties calculated at the GGA-PBE level.

## Properties
**Electronic total energy**: -3.87 eV/atom
**Symmetry**: No. 225
**ΔH_f (0 K)**: -378.7 meV/atom

a b c (Å): 5.5905 5.5905 5.5905
angles (deg): 60.00 60.00 60.00
Last column: nearest neighbours and their distance in Å.
Positions (direct):
Ac 0.7500 0.7500 0.7500  4 Hg 3.42, 4 Si 3.42
Ac 0.2500 0.2500 0.2500  4 Hg 3.42, 4 Si 3.42
Si 0.0000 0.0000 0.0000  8 Ac 3.42
Hg 0.5000 0.5000 0.5000  8 Ac 3.42

***

Below is crystalline Ac2SnHg at its relaxed geometry, with properties calculated at the GGA-PBE level.

## Properties
**Electronic total energy**: -3.69 eV/atom
**Symmetry**: No. 225
**ΔH_f (0 K)**: -550.3 meV/atom

a b c (Å): 5.7706 5.7706 5.7706
angles (deg): 60.00 60.00 60.00
Last column: nearest neighbours and their distance in Å.
Positions (direct):
Ac 0.2500 0.2500 0.2500  4 Hg 3.53, 4 Sn 3.53
Ac 0.7500 0.7500 0.7500  4 Hg 3.53, 4 Sn 3.53
Sn 0.0000 0.0000 0.0000  8 Ac 3.53
Hg 0.5000 0.5000 0.5000  8 Ac 3.53

***

Below is crystalline AcTlHg2 at its relaxed geometry, with properties calculated at the GGA-PBE level.

## Properties
**Electronic total energy**: -2.17 eV/atom
**Symmetry**: No. 225
**ΔH_f (0 K)**: -394.3 meV/atom

a b c (Å): 5.4941 5.4941 5.4941
angles (deg): 60.00 60.00 60.00
Last column: nearest neighbours and their distance in Å.
Positions (direct):
Hg 0.7500 0.7500 0.7500  4 Tl 3.36, 4 Ac 3.36
Hg 0.2500 0.2500 0.2500  4 Ac 3.36, 4 Tl 3.36
Tl 0.0000 0.0000 0.0000  8 Hg 3.36
Ac 0.5000 0.5000 0.5000  8 Hg 3.36

***

Below is crystalline Ac2ZnHg at its relaxed geometry, with properties calculated at the GGA-PBE level.

## Properties
**Electronic total energy**: -2.79 eV/atom
**Symmetry**: No. 225
**ΔH_f (0 K)**: -342.2 meV/atom

a b c (Å): 5.6392 5.6392 5.6392
angles (deg): 60.00 60.00 60.00
Last column: nearest neighbours and their distance in Å.
Positions (direct):
Zn 0.0000 0.0000 0.0000  8 Ac 3.45
Hg 0.5000 0.5000 0.5000  8 Ac 3.45
Ac 0.2500 0.2500 0.2500  4 Hg 3.45, 4 Zn 3.45
Ac 0.7500 0.7500 0.7500  4 Zn 3.45, 4 Hg 3.45

***

Q: Among the records above, which one has the highest electronic total energy?
A: AcHg3